Below is a relaxed MgSn2 crystal, with properties calculated at the GGA-PBE level.

a b c (Å): 6.5569 6.5569 7.4712
angles (deg): 80.23 80.23 29.54
Last column: nearest neighbours and their distance in Å.
Atoms (fractional coordinates):
Sn: 0.6547 0.6547 0.6522  3 Mg 3.02-3.23, 6 Sn 3.33-3.34
Sn: 0.3323 0.3323 0.3498  4 Mg 3.13-3.33, 7 Sn 3.27-3.46
Sn: 0.2821 0.2821 0.9354  4 Mg 3.26-3.34, 8 Sn 3.27-3.48
Sn: 0.0035 0.0035 0.0112  3 Mg 3.08-3.14, 6 Sn 3.34-3.44
Mg: 0.6204 0.6204 0.2616  7 Sn 3.02-3.34, 2 Mg 3.34
Mg: 0.9404 0.9404 0.6230  7 Sn 3.13-3.26, 2 Mg 3.34

Output
calculated formation energy = -0.01 eV/atom
space group = No. 8
E = -9.646 eV per formula unit
crystal system = monoclinic
size of the total moment = 0.000 μB/atom
V = 25.98 Å³ per atom

***

Below is a relaxed SbO2 crystal, with properties calculated at the GGA-PBE level.

a b c (Å): 3.4127 3.4127 10.5092
angles (deg): 90.00 90.00 120.00
Last column: nearest neighbours and their distance in Å.
Atoms (fractional coordinates):
Sb: 0.0000 0.0000 0.0000  6 O 2.18
Sb: 0.0000 0.0000 0.5000  6 O 2.18
O: 0.3333 0.6667 0.5888  3 Sb 2.18
O: 0.6667 0.3333 0.4112  3 Sb 2.18
O: 0.3333 0.6667 0.9112  3 Sb 2.18
O: 0.6667 0.3333 0.0888  3 Sb 2.18

Output
calculated formation energy = -1.44 eV/atom
space group = No. 194
corrected total energy (MP2020 scheme) = -6.11 eV/atom
E = -16.961 eV per formula unit
crystal system = hexagonal
size of the total moment = 0.001 μB/atom
V = 17.67 Å³ per atom

***

Below is a relaxed Sr5Co2N4 crystal, with properties calculated at the GGA-PBE level.

a b c (Å): 8.7208 8.7208 12.4672
angles (deg): 90.00 90.00 90.00
Last column: nearest neighbours and their distance in Å.
Atoms (fractional coordinates):
Sr: 0.3676 0.9234 0.4012  4 N 2.57-2.83
Sr: 0.5766 0.3676 0.4012  4 N 2.57-2.83
Sr: 0.7500 0.7500 0.8459  4 N 2.83
Sr: 0.0766 0.8676 0.5988  4 N 2.57-2.83
Sr: 0.7500 0.7500 0.3459  4 N 2.83
Sr: 0.6324 0.4234 0.0988  4 N 2.57-2.83
Sr: 0.2500 0.2500 0.6541  4 N 2.83
Sr: 0.4234 0.6324 0.5988  4 N 2.57-2.83
Sr: 0.8676 0.0766 0.0988  4 N 2.57-2.83
Sr: 0.4234 0.8676 0.0988  4 N 2.57-2.83
Sr: 0.3676 0.5766 0.9012  4 N 2.57-2.83
Sr: 0.6324 0.0766 0.5988  4 N 2.57-2.83
Sr: 0.5766 0.1324 0.9012  4 N 2.57-2.83
Sr: 0.2500 0.2500 0.1541  4 N 2.83
Sr: 0.9234 0.1324 0.4012  4 N 2.57-2.83
Sr: 0.1324 0.9234 0.9012  4 N 2.57-2.83
Sr: 0.9234 0.3676 0.9012  4 N 2.57-2.83
Sr: 0.8676 0.4234 0.5988  4 N 2.57-2.83
Sr: 0.1324 0.5766 0.4012  4 N 2.57-2.83
Sr: 0.0766 0.6324 0.0988  4 N 2.57-2.83
N: 0.6407 0.4498 0.8872  1 Co 1.80
N: 0.0502 0.6407 0.8872  1 Co 1.80
N: 0.0502 0.8593 0.3872  1 Co 1.80
N: 0.3593 0.5502 0.1128  1 Co 1.80
N: 0.8593 0.4498 0.3872  1 Co 1.80
N: 0.5502 0.3593 0.6128  1 Co 1.80
N: 0.5502 0.1407 0.1128  1 Co 1.80
N: 0.1407 0.5502 0.6128  1 Co 1.80
N: 0.1407 0.9498 0.1128  1 Co 1.80
N: 0.9498 0.3593 0.1128  1 Co 1.80
N: 0.4498 0.8593 0.8872  1 Co 1.80
N: 0.4498 0.6407 0.3872  1 Co 1.80
N: 0.3593 0.9498 0.6128  1 Co 1.80
N: 0.8593 0.0502 0.8872  1 Co 1.80
N: 0.9498 0.1407 0.6128  1 Co 1.80
N: 0.6407 0.0502 0.3872  1 Co 1.80
Co: 0.0911 0.9089 0.2500  2 N 1.80
Co: 0.0911 0.5911 0.7500  2 N 1.80
Co: 0.4089 0.5911 0.2500  2 N 1.80
Co: 0.5911 0.0911 0.2500  2 N 1.80
Co: 0.4089 0.9089 0.7500  2 N 1.80
Co: 0.5911 0.4089 0.7500  2 N 1.80
Co: 0.9089 0.0911 0.7500  2 N 1.80
Co: 0.9089 0.4089 0.2500  2 N 1.80

Output
calculated formation energy = -0.66 eV/atom
space group = No. 130
corrected total energy (MP2020 scheme) = -5.75 eV/atom
E = -61.811 eV per formula unit
crystal system = tetragonal
size of the total moment = 0.364 μB/atom
V = 21.55 Å³ per atom

***

Below is a relaxed Sr2NbGaO6 crystal, with properties calculated at the GGA-PBE level.

a b c (Å): 5.6592 5.6592 5.6592
angles (deg): 120.29 120.29 89.50
Last column: nearest neighbours and their distance in Å.
Atoms (fractional coordinates):
O: 0.7825 0.2816 0.0641  1 Ga 2.00, 1 Nb 2.01
O: 0.2175 0.7184 0.9359  1 Ga 2.00, 1 Nb 2.01
O: 0.7505 0.7505 0.0000  1 Ga 2.01, 1 Nb 2.01
O: 0.2816 0.2175 0.4990  1 Ga 2.00, 1 Nb 2.01
O: 0.2495 0.2495 0.0000  1 Ga 2.01, 1 Nb 2.01
O: 0.7184 0.7825 0.5010  1 Ga 2.00, 1 Nb 2.01
Sr: 0.2500 0.7500 0.5000  8 O 2.66-2.82
Sr: 0.7500 0.2500 0.5000  8 O 2.66-2.82
Ga: 0.0000 0.0000 0.0000  6 O 2.00-2.01
Nb: 0.5000 0.5000 0.0000  6 O 2.01

Output
calculated formation energy = -3.06 eV/atom
space group = No. 87
corrected total energy (MP2020 scheme) = -7.68 eV/atom
E = -72.674 eV per formula unit
crystal system = tetragonal
size of the total moment = 0.000 μB/atom
V = 12.76 Å³ per atom

***

Below is a relaxed NdO2 crystal, with properties calculated at the GGA-PBE level.

a b c (Å): 5.8538 5.8261 5.9067
angles (deg): 80.86 90.00 90.00
Last column: nearest neighbours and their distance in Å.
Atoms (fractional coordinates):
O: 0.1625 0.8393 0.9286  3 Nd 2.37-2.48
O: 0.3375 0.3393 0.9286  3 Nd 2.37-2.48
O: 0.2533 0.0098 0.4694  4 Nd 2.40-2.44
O: 0.8375 0.1607 0.0714  3 Nd 2.37-2.48
O: 0.7467 0.9902 0.5306  4 Nd 2.40-2.44
O: 0.6625 0.6607 0.0714  3 Nd 2.37-2.48
O: 0.7533 0.4902 0.5306  4 Nd 2.40-2.44
O: 0.2467 0.5098 0.4694  4 Nd 2.40-2.44
Nd: 0.4734 0.7132 0.7118  7 O 2.37-2.48
Nd: 0.5266 0.2868 0.2882  7 O 2.37-2.48
Nd: 0.0266 0.2132 0.7118  7 O 2.37-2.48
Nd: 0.9734 0.7868 0.2882  7 O 2.37-2.48

Output
calculated formation energy = -2.98 eV/atom
space group = No. 14
corrected total energy (MP2020 scheme) = -7.87 eV/atom
E = -22.234 eV per formula unit
crystal system = monoclinic
size of the total moment = 0.331 μB/atom
V = 16.57 Å³ per atom

***

Below is a relaxed BaYCuAgO5 crystal, with properties calculated at the GGA-PBE level.

a b c (Å): 3.9823 3.9823 8.0124
angles (deg): 90.00 90.00 90.00
Last column: nearest neighbours and their distance in Å.
Atoms (fractional coordinates):
O: 0.5000 0.0000 0.6265  2 Ag 2.07
O: 0.0000 0.5000 0.6265  2 Ag 2.07
O: 0.0000 0.5000 0.2797  2 Cu 2.02
O: 0.0000 0.0000 0.9863  1 Cu 2.02
O: 0.5000 0.0000 0.2797  2 Cu 2.02
Ag: 0.0000 0.0000 0.6958  4 O 2.07
Cu: 0.0000 0.0000 0.2382  5 O 2.02
Y: 0.5000 0.5000 0.4566  8 O 2.41-2.44
Ba: 0.5000 0.5000 0.9986  8 O 2.82-3.01

Output
calculated formation energy = -2.05 eV/atom
space group = No. 99
corrected total energy (MP2020 scheme) = -6.51 eV/atom
E = -55.115 eV per formula unit
crystal system = tetragonal
size of the total moment = 0.023 μB/atom
V = 14.12 Å³ per atom

***

Below is a relaxed InNi4 crystal, with properties calculated at the GGA-PBE level.

a b c (Å): 2.9815 2.9815 7.4108
angles (deg): 78.39 78.39 89.98
Last column: nearest neighbours and their distance in Å.
Atoms (fractional coordinates):
Ni: 0.3833 0.3833 0.2335  5 Ni 2.47-2.50, 4 In 2.68
Ni: 0.6167 0.6167 0.7665  5 Ni 2.47-2.50, 4 In 2.68
Ni: 0.2072 0.2072 0.5855  9 Ni 2.43-2.50
Ni: 0.7928 0.7928 0.4145  9 Ni 2.43-2.50
In: 0.0000 0.0000 0.0000  10 Ni 2.68-2.94, 4 In 2.98

Output
calculated formation energy = 0.04 eV/atom
space group = No. 139
E = -25.664 eV per formula unit
crystal system = tetragonal
size of the total moment = 0.242 μB/atom
V = 12.63 Å³ per atom

***

Below is a relaxed Mg2RuN3 crystal, with properties calculated at the GGA-PBE level.

a b c (Å): 5.5665 10.4093 14.9168
angles (deg): 90.00 91.91 159.23
Last column: nearest neighbours and their distance in Å.
Atoms (fractional coordinates):
Ru: 0.5911 0.2411 0.6673  4 N 1.89-1.96
Ru: 0.4089 0.6500 0.8327  4 N 1.89-1.96
Ru: 0.5911 0.3500 0.1673  4 N 1.89-1.96
Ru: 0.4089 0.7589 0.3327  4 N 1.89-1.96
N: 0.3544 0.8938 0.3958  1 Ru 1.94, 1 Mg 2.14
N: 0.5303 0.2061 0.0676  1 Ru 1.89, 1 Mg 2.11
N: 0.0000 0.5757 0.7500  2 Ru 1.96
N: 0.0000 0.1165 0.2500  2 Ru 1.89
N: 0.3544 0.4605 0.8958  1 Ru 1.94, 1 Mg 2.14
N: 0.5303 0.3242 0.5676  1 Ru 1.89, 1 Mg 2.11
N: 0.6456 0.1062 0.6042  1 Ru 1.94, 1 Mg 2.14
N: 0.4697 0.7939 0.9324  1 Ru 1.89, 1 Mg 2.11
N: 0.0000 0.4243 0.2500  2 Ru 1.96
N: 0.6456 0.5395 0.1042  1 Ru 1.94, 1 Mg 2.14
N: 0.0000 0.8835 0.7500  2 Ru 1.89
N: 0.4697 0.6758 0.4324  1 Ru 1.89, 1 Mg 2.11
Mg: 0.6553 0.5538 0.6526  5 N 2.14-2.25
Mg: 0.6553 0.1015 0.1526  5 N 2.14-2.25
Mg: 0.4821 0.3509 0.9773  5 N 2.11-2.21
Mg: 0.5179 0.6491 0.0227  5 N 2.11-2.21
Mg: 0.3447 0.4462 0.3474  5 N 2.14-2.25
Mg: 0.3447 0.8985 0.8474  5 N 2.14-2.25
Mg: 0.4821 0.1312 0.4773  5 N 2.11-2.21
Mg: 0.5179 0.8688 0.5227  5 N 2.11-2.21

Output
calculated formation energy = -0.29 eV/atom
space group = No. 15
corrected total energy (MP2020 scheme) = -6.54 eV/atom
E = -38.160 eV per formula unit
crystal system = monoclinic
size of the total moment = 0.000 μB/atom
V = 12.72 Å³ per atom
ΔE to the lowest computed polymorph = 132 meV/atom